{
  "formula": "GdBi3",
  "functional": "PBE",
  "state": "optimized geometry",
  "lattice": [[-2.343, 2.343, 5.418], [2.343, -2.343, 5.418], [2.343, 2.343, -5.418]],
  "species": ["Bi", "Bi", "Bi", "Gd"],
  "frac_coords": [[0.750, 0.250, 0.500], [0.250, 0.750, 0.500], [0.500, 0.500, 0.000], [0.000, 0.000, 0.000]],
  "formation_energy_ev_per_atom": -0.387
}